{"formula": "U2CoS5", "functional": "PBE-GGA", "state": "relaxed", "cell": [[2.9983, 7.1513, 0.0000], [-2.9983, 7.1513, 0.0000], [0.0000, 0.8401, 6.8701]], "species": ["U", "U", "U", "U", "Co", "Co", "S", "S", "S", "S", "S", "S", "S", "S", "S", "S"], "frac_coords": [[0.1051, 0.6787, 0.5819], [0.3213, 0.8949, 0.9181], [0.8949, 0.3213, 0.4181], [0.6787, 0.1051, 0.0819], [0.0000, 0.5000, 0.0000], [0.5000, 0.0000, 0.5000], [0.9104, 0.0896, 0.7500], [0.0896, 0.9104, 0.2500], [0.2891, 0.5296, 0.9254], [0.4704, 0.7109, 0.5746], [0.7109, 0.4704, 0.0746], [0.5296, 0.2891, 0.4254], [0.1428, 0.2999, 0.6922], [0.7001, 0.8572, 0.8078], [0.8572, 0.7001, 0.3078], [0.2999, 0.1428, 0.1922]], "energy_corrected_mp2020_ev_per_atom": -7.715}


{"formula": "PmCdRh2", "functional": "PBE-GGA", "state": "relaxed", "cell": [[1.1101, -4.2910, 1.7665], [-3.2025, -2.4190, 2.5804], [-2.0410, -3.9205, -1.7970]], "species": ["Pm", "Cd", "Rh", "Rh"], "frac_coords": [[0.0000, 0.0000, 0.0000], [0.5000, 0.5000, 0.5000], [0.2500, 0.2500, 0.2500], [0.7500, 0.7500, 0.7500]]}


{"formula": "Y2MgGa2", "functional": "PBE-GGA", "state": "relaxed", "cell": [[-6.8317, 2.7340, -1.1605], [-2.2876, -6.7000, -2.3175], [-1.0804, -1.0089, 3.9834]], "species": ["Y", "Y", "Y", "Y", "Mg", "Mg", "Ga", "Ga", "Ga", "Ga"], "frac_coords": [[0.6745, 0.1745, 0.5000], [0.3255, 0.8255, 0.5000], [0.1745, 0.3255, 0.5000], [0.8255, 0.6745, 0.5000], [0.0000, 0.0000, 0.0000], [0.5000, 0.5000, 0.0000], [0.1235, 0.6235, 0.0000], [0.8765, 0.3765, 0.0000], [0.6235, 0.8765, 0.0000], [0.3765, 0.1235, 0.0000]]}


no.,energy of formation from the pure elements (meV per atom),energy (eV per atom)
1,-1418,-7.4007
2,-470,-5.5704
3,-572,-4.6897